Arrangement w

Computed, not measured: Tm5Mg after structural relaxation at the r2SCAN level of DFT.

a = 6.0286 Å, b = 6.0286 Å, c = 16.5251 Å
α = 90.00°, β = 90.00°, γ = 120.00°
Space group R32 (No. 155, hexagonal axes)
Inequivalent atoms, fractional coordinates:
Tm1 0.0000 0.0000 0.1635 [6 per cell]
Tm2 0.0000 0.6568 0.0000 [9 per cell]
Mg1 0.0000 0.0000 0.5000 [3 per cell]

Crystal system: trigonal

***

Arrangement x

Computed, not measured: Tm5Mg after structural relaxation at the r2SCAN level of DFT.

a = 5.513 Å, b = 3.531 Å, c = 18.053 Å
α = 90.00°, β = 90.00°, γ = 90.00°
Space group Amm2 (No. 38)
Inequivalent atoms, fractional coordinates:
Tm1 0.000 0.000 0.000 [2 per cell]
Tm2 0.000 0.000 0.329 [2 per cell]
Tm3 0.000 0.000 0.667 [2 per cell]
Tm4 0.500 0.000 0.114 [2 per cell]
Tm5 0.500 0.000 0.447 [2 per cell]
Mg1 0.500 0.000 0.777 [2 per cell]

Crystal system: orthorhombic

***

Top of the stability list: arrangement x, leading by 15 meV/atom.

***

Arrangement w

Computed, not measured: Y5Mg after structural relaxation at the r2SCAN level of DFT.

a = 5.789 Å, b = 3.615 Å, c = 18.383 Å
α = 90.00°, β = 90.00°, γ = 90.00°
Space group Amm2 (No. 38)
Inequivalent atoms, fractional coordinates:
Y1 0.000 0.000 0.000 [2 per cell]
Y2 0.000 0.000 0.329 [2 per cell]
Y3 0.000 0.000 0.662 [2 per cell]
Y4 0.500 0.000 0.215 [2 per cell]
Y5 0.500 0.000 0.885 [2 per cell]
Mg1 0.500 0.000 0.552 [2 per cell]

Crystal system: orthorhombic

***

Arrangement x

Computed, not measured: Y5Mg after structural relaxation at the r2SCAN level of DFT.

a = 13.005 Å, b = 3.632 Å, c = 8.388 Å
α = 90.00°, β = 105.71°, γ = 90.00°
Space group Cm (No. 8)
Inequivalent atoms, fractional coordinates:
Y1 0.000 0.000 0.000 [2 per cell]
Y2 0.039 0.000 0.609 [2 per cell]
Y3 0.149 0.500 0.339 [2 per cell]
Y4 0.318 0.000 0.679 [2 per cell]
Y5 0.367 0.000 0.263 [2 per cell]
Mg1 0.211 0.500 0.944 [2 per cell]

Crystal system: monoclinic

***

Top of the stability list: arrangement x, leading by 13 meV/atom.

***

Arrangement w

Computed, not measured: NaMn2O4 after structural relaxation at the r2SCAN level of DFT.

a = 8.851 Å, b = 2.856 Å, c = 11.021 Å
α = 90.00°, β = 90.00°, γ = 90.00°
Space group Pnma (No. 62)
Inequivalent atoms, fractional coordinates:
Na1 0.246 0.250 0.163 [4 per cell]
Mn1 0.069 0.250 0.388 [4 per cell]
Mn2 0.082 0.250 0.903 [4 per cell]
O1 0.027 0.750 0.801 [4 per cell]
O2 0.069 0.250 0.585 [4 per cell]
O3 0.116 0.750 0.020 [4 per cell]
O4 0.212 0.750 0.348 [4 per cell]

Crystal system: orthorhombic

***

Arrangement x

Computed, not measured: NaMn2O4 after structural relaxation at the r2SCAN level of DFT.

a = 2.867 Å, b = 4.874 Å, c = 5.729 Å
α = 72.85°, β = 89.88°, γ = 89.99°
Space group P-1 (No. 2)
Inequivalent atoms, fractional coordinates:
Na1 0.000 0.000 0.000 [1 per cell]
Mn1 0.000 0.500 0.500 [1 per cell]
Mn2 0.500 0.000 0.500 [1 per cell]
O1 0.001 0.224 0.318 [2 per cell]
O2 0.499 0.267 0.688 [2 per cell]

Crystal system: triclinic

***

Top of the stability list: arrangement w, leading by 82 meV/atom.

***

Arrangement w

Computed, not measured: Mn2S3O12 after structural relaxation at the r2SCAN level of DFT.

a = 8.446 Å, b = 8.490 Å, c = 13.960 Å
α = 90.00°, β = 125.80°, γ = 90.00°
Space group P2_1/c (No. 14)
Inequivalent atoms, fractional coordinates:
Mn1 0.128 0.029 0.383 [4 per cell]
Mn2 0.369 0.033 0.117 [4 per cell]
S1 0.060 0.744 0.508 [4 per cell]
S2 0.237 0.125 0.848 [4 per cell]
S3 0.480 0.622 0.860 [4 per cell]
O1 0.028 0.641 0.918 [4 per cell]
O2 0.053 0.032 0.784 [4 per cell]
O3 0.073 0.680 0.106 [4 per cell]
O4 0.099 0.133 0.055 [4 per cell]
O5 0.193 0.204 0.326 [4 per cell]
O6 0.250 0.667 0.553 [4 per cell]
O7 0.314 0.076 0.549 [4 per cell]
O8 0.342 0.094 0.975 [4 per cell]
O9 0.357 0.083 0.809 [4 per cell]
O10 0.364 0.625 0.905 [4 per cell]
O11 0.395 0.508 0.762 [4 per cell]
O12 0.485 0.723 0.311 [4 per cell]

Crystal system: monoclinic

***

Arrangement x

Computed, not measured: Mn2S3O12 after structural relaxation at the r2SCAN level of DFT.

a = 8.0762 Å, b = 8.0762 Å, c = 22.8233 Å
α = 90.00°, β = 90.00°, γ = 120.00°
Space group R-3 (No. 148, hexagonal axes)
Inequivalent atoms, fractional coordinates:
Mn1 0.0000 0.0000 0.1440 [6 per cell]
Mn2 0.0000 0.0000 0.3426 [6 per cell]
S1 0.0118 0.7113 0.2529 [18 per cell]
O1 0.0403 0.8135 0.1982 [18 per cell]
O2 0.0486 0.2222 0.0860 [18 per cell]
O3 0.0840 0.2248 0.7029 [18 per cell]
O4 0.0940 0.2227 0.3923 [18 per cell]

Crystal system: trigonal

***

Top of the stability list: arrangement w, leading by 11 meV/atom.